A relaxed structure of Fe7Ge4. Source: the Materials Project database, functional GGA-PBE.

CIF file:
```
data_Fe7Ge4
_chemical_formula_sum 'Fe7 Ge4'
_cell_length_a 4.0606
_cell_length_b 4.0606
_cell_length_c 9.9525
_cell_angle_alpha 90.00
_cell_angle_beta 90.00
_cell_angle_gamma 120.00
_space_group_name_H-M_alt 'P -6 m 2'
_space_group_IT_number 187
_space_group_name_Hall 'P -6 2'
loop_
_atom_site_label
_atom_site_type_symbol
_atom_site_fract_x
_atom_site_fract_y
_atom_site_fract_z
Fe1 Fe 0.0000 0.0000 0.0000
Fe2 Fe 0.3333 0.6667 0.1238
Fe3 Fe 0.3333 0.6667 0.3762
Fe4 Fe 0.6667 0.3333 0.2599
Ge1 Ge 0.0000 0.0000 0.2528
Ge2 Ge 0.6667 0.3333 0.0000
Ge3 Ge 0.6667 0.3333 0.5000
```

Calculated values
As for the electronic total energy: -0.262 hartree per atom. Its formation energy is -62.0 meV/atom.